The following is a PBE-GGA calculation of a relaxed CuPd crystal, from Materials Project.

Cell: 4.5344 4.5344 4.5344 Å, 35.16 35.16 35.16°
Positions (direct):
Cu (0.0000, 0.0000, 0.0000)
Pd (0.5000, 0.5000, 0.5000)

Output
Formation enthalpy at 0 K, eV/atom: -0.092
Space-group type: R-3m
Energy, eV/cell: -9.46